This record from the Materials Project describes a relaxed structure of K2LiVS4. The functional is PBE.

## Properties
M_tot = 0.0 μB/f.u.
VASP energy = -4.879 eV per atom
Theoretical density = 2.1 Mg/m³
Space-group type = Cc (9)
Crystal system = monoclinic

a b c (Å): 6.8393 6.8393 18.2234
angles (deg): 93.78 93.78 77.06
Element x y z (fractional)
K 0.0151 0.9849 0.5000
K 0.1972 0.8348 0.7521
K 0.3586 0.4099 0.0747
K 0.4099 0.3586 0.5747
K 0.6198 0.6692 0.4292
K 0.6692 0.6198 0.9292
K 0.8348 0.1972 0.2521
K 0.9849 0.0151 0.0000
Li 0.1123 0.6284 0.2861
Li 0.4029 0.9198 0.2180
Li 0.6284 0.1123 0.7861
Li 0.9198 0.4029 0.7180
V 0.2158 0.3258 0.8572
V 0.3258 0.2158 0.3572
V 0.7065 0.8165 0.6473
V 0.8165 0.7065 0.1473
S 0.0989 0.8056 0.1548
S 0.1132 0.4474 0.4121
S 0.1804 0.6149 0.9153
S 0.2284 0.9323 0.3482
S 0.3001 0.3413 0.7456
S 0.3413 0.3001 0.2456
S 0.4175 0.8517 0.5891
S 0.4474 0.1132 0.9121
S 0.5852 0.9187 0.0923
S 0.6149 0.1804 0.4153
S 0.6912 0.7327 0.7591
S 0.7327 0.6912 0.2591
S 0.8056 0.0989 0.6548
S 0.8517 0.4175 0.0891
S 0.9187 0.5852 0.5923
S 0.9323 0.2284 0.8482